No. 1
{
  "formula": "Li4Mn3Cr3Cu2O16",
  "functional": "PBE with a Hubbard U",
  "state": "relaxed",
  "magmom_total_mub_per_fu": 17.000,
  "sg": "P1 (1)",
  "final_energy_ev_per_atom": -6.51,
  "e_form_ev_per_fu": -52.8,
  "cell": [[5.8140, 0.0000, 0.0000], [-2.9057, 5.0360, 0.0000], [-0.0111, -0.0181, 9.5268]],
  "species": ["Li", "Li", "Li", "Li", "Mn", "Mn", "Mn", "Cr", "Cr", "Cr", "Cu", "Cu", "O", "O", "O", "O", "O", "O", "O", "O", "O", "O", "O", "O", "O", "O", "O", "O"],
  "fractional_positions": [[0.0000, 0.0000, 0.0000], [0.0024, 0.0041, 0.4986], [0.3394, 0.6787, 0.4001], [0.6744, 0.3481, 0.9001], [0.1737, 0.8398, 0.7168], [0.6668, 0.8398, 0.7167], [0.8327, 0.6659, 0.2176], [0.1734, 0.3460, 0.7165], [0.3392, 0.1731, 0.2137], [0.8330, 0.1736, 0.2151], [0.3365, 0.6712, 0.9908], [0.6681, 0.3351, 0.4933], [0.0004, 0.0000, 0.8150], [0.0412, 0.5325, 0.8370], [0.1640, 0.8444, 0.1075], [0.1660, 0.3272, 0.1093], [0.3219, 0.1605, 0.6053], [0.3421, 0.6836, 0.6102], [0.4872, 0.9736, 0.8360], [0.4919, 0.5324, 0.8369], [0.5217, 0.0453, 0.3354], [0.5232, 0.4896, 0.3359], [0.6734, 0.3474, 0.1072], [0.6813, 0.8426, 0.1064], [0.8392, 0.1605, 0.6053], [0.8437, 0.6869, 0.6076], [0.9678, 0.4912, 0.3363], [0.9991, 0.9968, 0.3148]]
}


No. 2
{
  "formula": "Li3Cr3Cu2O12",
  "functional": "PBE with a Hubbard U",
  "state": "relaxed",
  "magmom_total_mub_per_fu": 1.000,
  "sg": "P2_1/c (14)",
  "final_energy_ev_per_atom": -6.10,
  "e_form_ev_per_fu": -34.0,
  "cell": [[8.8422, 0.0000, 0.0000], [0.0000, 9.1787, 0.0000], [-8.2763, 0.0000, 12.5572]],
  "species": ["Li", "Li", "Li", "Li", "Li", "Li", "Li", "Li", "Li", "Li", "Li", "Li", "Cr", "Cr", "Cr", "Cr", "Cr", "Cr", "Cr", "Cr", "Cr", "Cr", "Cr", "Cr", "Cu", "Cu", "Cu", "Cu", "Cu", "Cu", "Cu", "Cu", "O", "O", "O", "O", "O", "O", "O", "O", "O", "O", "O", "O", "O", "O", "O", "O", "O", "O", "O", "O", "O", "O", "O", "O", "O", "O", "O", "O", "O", "O", "O", "O", "O", "O", "O", "O", "O", "O", "O", "O", "O", "O", "O", "O", "O", "O", "O", "O"],
  "fractional_positions": [[0.0015, 0.2263, 0.3217], [0.0015, 0.2737, 0.8217], [0.2841, 0.5072, 0.8436], [0.2841, 0.9928, 0.3436], [0.3759, 0.5877, 0.3025], [0.3759, 0.9123, 0.8025], [0.6241, 0.0877, 0.1975], [0.6241, 0.4123, 0.6975], [0.7159, 0.0072, 0.6564], [0.7159, 0.4928, 0.1564], [0.9985, 0.7263, 0.1783], [0.9985, 0.7737, 0.6783], [0.0323, 0.1125, 0.6478], [0.0323, 0.3875, 0.1478], [0.2631, 0.6236, 0.6471], [0.2631, 0.8764, 0.1471], [0.4467, 0.2502, 0.4921], [0.4467, 0.2498, 0.9921], [0.5533, 0.7502, 0.0079], [0.5533, 0.7498, 0.5079], [0.7369, 0.1236, 0.8529], [0.7369, 0.3764, 0.3529], [0.9677, 0.6125, 0.8522], [0.9677, 0.8875, 0.3522], [0.1322, 0.5357, 0.3861], [0.1322, 0.9643, 0.8861], [0.3515, 0.5270, 0.1048], [0.3515, 0.9730, 0.6048], [0.6485, 0.0270, 0.3952], [0.6485, 0.4730, 0.8952], [0.8678, 0.0357, 0.1139], [0.8678, 0.4643, 0.6139], [0.0253, 0.2230, 0.1959], [0.0253, 0.2770, 0.6959], [0.1274, 0.5142, 0.2482], [0.1274, 0.9858, 0.7482], [0.1313, 0.5801, 0.6945], [0.1313, 0.9199, 0.1945], [0.1506, 0.1141, 0.5934], [0.1506, 0.3859, 0.0934], [0.1533, 0.5831, 0.5197], [0.1533, 0.9169, 0.0197], [0.1821, 0.5556, 0.9367], [0.1821, 0.9444, 0.4367], [0.2384, 0.1789, 0.9359], [0.2384, 0.3211, 0.4359], [0.2905, 0.6923, 0.1643], [0.2905, 0.8077, 0.6643], [0.3956, 0.6212, 0.4446], [0.3956, 0.8788, 0.9446], [0.4555, 0.1651, 0.3964], [0.4555, 0.3349, 0.8964], [0.4575, 0.5322, 0.7149], [0.4575, 0.9678, 0.2149], [0.4865, 0.1298, 0.5882], [0.4865, 0.3702, 0.0882], [0.5135, 0.6298, 0.9118], [0.5135, 0.8702, 0.4118], [0.5425, 0.0322, 0.7851], [0.5425, 0.4678, 0.2851], [0.5445, 0.6651, 0.1036], [0.5445, 0.8349, 0.6036], [0.6044, 0.1212, 0.0554], [0.6044, 0.3788, 0.5554], [0.7095, 0.1923, 0.3357], [0.7095, 0.3077, 0.8357], [0.7616, 0.6789, 0.5641], [0.7616, 0.8211, 0.0641], [0.8179, 0.0556, 0.5633], [0.8179, 0.4444, 0.0633], [0.8467, 0.0831, 0.9803], [0.8467, 0.4169, 0.4803], [0.8494, 0.6141, 0.9066], [0.8494, 0.8859, 0.4066], [0.8687, 0.0801, 0.8055], [0.8687, 0.4199, 0.3055], [0.8726, 0.0142, 0.2518], [0.8726, 0.4858, 0.7518], [0.9747, 0.7230, 0.3041], [0.9747, 0.7770, 0.8041]]
}


No. 3
{
  "formula": "Li5Cr2Cu5O12",
  "functional": "PBE with a Hubbard U",
  "state": "relaxed",
  "magmom_total_mub_per_fu": 0.028,
  "sg": "C2 (5)",
  "final_energy_ev_per_atom": -5.48,
  "e_form_ev_per_fu": -35.1,
  "cell": [[2.7431, -4.2484, 0.0000], [2.7431, 4.2484, 0.0000], [-0.3803, 0.0000, 9.6525]],
  "species": ["Li", "Li", "Li", "Li", "Li", "Cr", "Cr", "Cu", "Cu", "Cu", "Cu", "Cu", "O", "O", "O", "O", "O", "O", "O", "O", "O", "O", "O", "O"],
  "fractional_positions": [[0.0000, 0.0000, 0.0000], [0.2443, 0.2420, 0.7537], [0.4080, 0.0696, 0.2435], [0.7580, 0.7557, 0.2463], [0.9304, 0.5920, 0.7565], [0.3315, 0.6685, 0.0000], [0.8319, 0.1681, 0.5000], [0.0839, 0.4088, 0.2490], [0.1631, 0.8369, 0.5000], [0.5010, 0.4990, 0.5000], [0.5912, 0.9161, 0.7510], [0.6694, 0.3306, 0.0000], [0.0056, 0.3466, 0.9033], [0.0735, 0.7061, 0.1343], [0.0953, 0.1093, 0.3661], [0.1660, 0.4996, 0.5967], [0.2939, 0.9265, 0.8657], [0.3894, 0.3911, 0.1234], [0.5004, 0.8340, 0.4033], [0.5575, 0.2213, 0.6286], [0.6089, 0.6106, 0.8766], [0.6534, 0.9944, 0.0967], [0.7787, 0.4425, 0.3714], [0.8907, 0.9047, 0.6339]]
}


No. 4
{
  "formula": "Li2CrCuO4",
  "functional": "PBE with a Hubbard U",
  "state": "relaxed",
  "polymorph_energy_ev_per_atom": 0.000,
  "magmom_total_mub_per_fu": 1.000,
  "sg": "P2/m (10)",
  "final_energy_ev_per_atom": -5.98,
  "e_form_ev_per_fu": -15.2,
  "cell": [[5.1070, 0.0000, 0.0000], [0.0000, 2.9525, 0.0000], [-1.7083, 0.0000, 4.8280]],
  "species": ["Li", "Li", "Cr", "Cu", "O", "O", "O", "O"],
  "fractional_positions": [[0.0000, 0.0000, 0.0000], [0.5000, 0.5000, 0.0000], [0.0000, 0.5000, 0.5000], [0.5000, 0.0000, 0.5000], [0.2384, 0.0000, 0.7275], [0.2539, 0.5000, 0.2729], [0.7461, 0.5000, 0.7271], [0.7616, 0.0000, 0.2725]]
}


No. 5
{
  "formula": "Li2Cr3CuO8",
  "functional": "PBE with a Hubbard U",
  "state": "relaxed",
  "polymorph_energy_ev_per_atom": 0.005,
  "magmom_total_mub_per_fu": 5.000,
  "sg": "P2_1 (4)",
  "final_energy_ev_per_atom": -6.60,
  "e_form_ev_per_fu": -27.5,
  "cell": [[8.3148, 0.0000, 0.0000], [0.0000, 8.3580, 0.0000], [-0.0049, 0.0000, 8.3473]],
  "species": ["Li", "Li", "Li", "Li", "Li", "Li", "Li", "Li", "Cr", "Cr", "Cr", "Cr", "Cr", "Cr", "Cr", "Cr", "Cr", "Cr", "Cr", "Cr", "Cu", "Cu", "Cu", "Cu", "O", "O", "O", "O", "O", "O", "O", "O", "O", "O", "O", "O", "O", "O", "O", "O", "O", "O", "O", "O", "O", "O", "O", "O", "O", "O", "O", "O", "O", "O", "O", "O"],
  "fractional_positions": [[0.0021, 0.0000, 0.2509], [0.2480, 0.2478, 0.0035], [0.2529, 0.7499, 0.5011], [0.4978, 0.9978, 0.7467], [0.5022, 0.4978, 0.2533], [0.7471, 0.2499, 0.4989], [0.7520, 0.7478, 0.9965], [0.9979, 0.5000, 0.7491], [0.1207, 0.1248, 0.6256], [0.1214, 0.3746, 0.3768], [0.1254, 0.6258, 0.1284], [0.3714, 0.6232, 0.8747], [0.3729, 0.3759, 0.6248], [0.3760, 0.8726, 0.1214], [0.6240, 0.3726, 0.8786], [0.6271, 0.8759, 0.3752], [0.6286, 0.1232, 0.1253], [0.8746, 0.1258, 0.8716], [0.8793, 0.6248, 0.3744], [0.8786, 0.8746, 0.6232], [0.1264, 0.8738, 0.8751], [0.3755, 0.1233, 0.3747], [0.6245, 0.6233, 0.6253], [0.8736, 0.3738, 0.1249], [0.1063, 0.8912, 0.6289], [0.1085, 0.6120, 0.3706], [0.1154, 0.1153, 0.8546], [0.1202, 0.3862, 0.1490], [0.1313, 0.1395, 0.3967], [0.1385, 0.3645, 0.6123], [0.1410, 0.8627, 0.1171], [0.1452, 0.6297, 0.8919], [0.3523, 0.1367, 0.6178], [0.3556, 0.3643, 0.3849], [0.3645, 0.6347, 0.1119], [0.3733, 0.8523, 0.8852], [0.3835, 0.3904, 0.8644], [0.3841, 0.6116, 0.6392], [0.3958, 0.1133, 0.1341], [0.3989, 0.8772, 0.3609], [0.6011, 0.3772, 0.6391], [0.6042, 0.6133, 0.8659], [0.6159, 0.1116, 0.3608], [0.6165, 0.8904, 0.1356], [0.6267, 0.3523, 0.1148], [0.6355, 0.1347, 0.8881], [0.6444, 0.8643, 0.6151], [0.6477, 0.6367, 0.3822], [0.8548, 0.1297, 0.1081], [0.8590, 0.3627, 0.8829], [0.8615, 0.8645, 0.3877], [0.8687, 0.6395, 0.6033], [0.8798, 0.8862, 0.8510], [0.8846, 0.6153, 0.1454], [0.8915, 0.1120, 0.6294], [0.8937, 0.3912, 0.3711]]
}


No. 6
{
  "formula": "Li3Cr3CuO8",
  "functional": "PBE with a Hubbard U",
  "state": "relaxed",
  "magmom_total_mub_per_fu": 2.113,
  "sg": "R-3m (166)",
  "final_energy_ev_per_atom": -6.51,
  "e_form_ev_per_fu": -30.8,
  "cell": [[2.9410, 1.6980, 4.8233], [-2.9410, 1.6980, 4.8233], [0.0000, -3.3960, 4.8233]],
  "species": ["Li", "Li", "Li", "Cr", "Cr", "Cr", "Cu", "O", "O", "O", "O", "O", "O", "O", "O"],
  "fractional_positions": [[0.0000, 0.5000, 0.5000], [0.5000, 0.0000, 0.5000], [0.5000, 0.5000, 0.0000], [0.0000, 0.0000, 0.5000], [0.0000, 0.5000, 0.0000], [0.5000, 0.0000, 0.0000], [0.5000, 0.5000, 0.5000], [0.2421, 0.2421, 0.2421], [0.2467, 0.7350, 0.7350], [0.2650, 0.2650, 0.7533], [0.2650, 0.7533, 0.2650], [0.7350, 0.2467, 0.7350], [0.7350, 0.7350, 0.2467], [0.7533, 0.2650, 0.2650], [0.7579, 0.7579, 0.7579]]
}